(1)
{"formula": "TlGeF3", "functional": "PBE", "state": "relaxed", "sg": "No. 1", "m_tot_mub_per_fu": 0.00, "e_ij_max_c_m2": 1.2, "e_above_lowest_polymorph_mev_per_atom": 28.0, "ef_kcal_per_mol_atoms": -52.56, "lattice_angstrom": [[4.720, 0.000, 0.000], [-0.031, 4.732, 0.000], [-0.325, -1.001, 4.745]], "species": ["Tl", "Ge", "F", "F", "F"], "frac_coords": [[0.000, 0.000, 0.000], [0.414, 0.465, 0.532], [0.373, 0.504, 0.924], [0.375, 0.874, 0.583], [0.815, 0.500, 0.589]]}

***

(2)
{"formula": "TlGeF3", "functional": "PBE", "state": "relaxed", "sg": "No. 11", "e_above_lowest_polymorph_mev_per_atom": 0.0, "ef_kcal_per_mol_atoms": -53.20, "lattice_angstrom": [[4.872, 0.000, 0.000], [0.000, 6.058, 0.000], [-2.251, 0.000, 7.193]], "species": ["Tl", "Tl", "Ge", "Ge", "F", "F", "F", "F", "F", "F"], "frac_coords": [[0.153, 0.250, 0.309], [0.847, 0.750, 0.691], [0.451, 0.250, 0.847], [0.549, 0.750, 0.153], [0.176, 0.750, 0.177], [0.328, 0.029, 0.664], [0.328, 0.471, 0.664], [0.672, 0.529, 0.336], [0.672, 0.971, 0.336], [0.824, 0.250, 0.823]]}

***

(3)
{"formula": "Tl2GeF6", "functional": "PBE", "state": "relaxed", "sg": "No. 164", "ef_kcal_per_mol_atoms": -58.71, "lattice_angstrom": [[5.964, 0.000, 0.000], [-2.982, 5.165, 0.000], [0.000, 0.000, 5.018]], "species": ["Tl", "Tl", "Ge", "F", "F", "F", "F", "F", "F"], "frac_coords": [[0.333, 0.667, 0.317], [0.667, 0.333, 0.683], [0.000, 0.000, 0.000], [0.147, 0.295, 0.793], [0.147, 0.853, 0.793], [0.295, 0.147, 0.207], [0.705, 0.853, 0.793], [0.853, 0.147, 0.207], [0.853, 0.705, 0.207]]}

***

(4)
{"formula": "H3F2", "functional": "PBE", "state": "relaxed", "sg": "No. 1", "m_tot_mub_per_fu": 0.00, "e_above_lowest_polymorph_mev_per_atom": 0.0, "ef_kcal_per_mol_atoms": -32.47, "lattice_angstrom": [[4.302, 0.000, 0.000], [0.970, 4.251, 0.000], [1.111, 0.873, 5.900]], "species": ["H", "H", "H", "H", "H", "H", "F", "F", "F", "F"], "frac_coords": [[0.000, 0.000, 0.000], [0.006, 0.508, 0.967], [0.413, 0.418, 0.510], [0.501, 0.885, 0.217], [0.551, 0.908, 0.323], [0.907, 0.405, 0.545], [0.008, 0.184, 0.073], [0.011, 0.729, 0.889], [0.224, 0.427, 0.433], [0.686, 0.386, 0.625]]}

***

(5)
{"formula": "H3F2", "functional": "PBE", "state": "relaxed", "sg": "No. 1", "m_tot_mub_per_fu": 0.00, "e_ij_max_c_m2": 0.4, "e_above_lowest_polymorph_mev_per_atom": 23.4, "ef_kcal_per_mol_atoms": -31.93, "lattice_angstrom": [[4.524, 0.000, 0.000], [1.394, 4.370, 0.000], [1.553, 1.130, 4.896]], "species": ["H", "H", "H", "H", "H", "H", "F", "F", "F", "F"], "frac_coords": [[0.000, 0.000, 0.000], [0.017, 0.516, 0.943], [0.433, 0.435, 0.476], [0.520, 0.898, 0.187], [0.547, 0.911, 0.316], [0.919, 0.413, 0.533], [0.015, 0.162, 0.078], [0.025, 0.732, 0.853], [0.267, 0.434, 0.392], [0.702, 0.395, 0.626]]}

***

(6)
{"formula": "HfH6O3F4", "functional": "PBE", "state": "relaxed", "sg": "No. 14", "ef_kcal_per_mol_atoms": -53.08, "lattice_angstrom": [[6.750, 0.000, 0.000], [0.000, 10.719, 0.000], [-1.325, 0.000, 7.593]], "species": ["Hf", "Hf", "Hf", "Hf", "H", "H", "H", "H", "H", "H", "H", "H", "H", "H", "H", "H", "H", "H", "H", "H", "H", "H", "H", "H", "H", "H", "H", "H", "O", "O", "O", "O", "O", "O", "O", "O", "O", "O", "O", "O", "F", "F", "F", "F", "F", "F", "F", "F", "F", "F", "F", "F", "F", "F", "F", "F"], "frac_coords": [[0.242, 0.045, 0.460], [0.242, 0.455, 0.960], [0.758, 0.545, 0.040], [0.758, 0.955, 0.540], [0.103, 0.619, 0.390], [0.103, 0.881, 0.890], [0.232, 0.201, 0.068], [0.232, 0.299, 0.568], [0.261, 0.625, 0.666], [0.261, 0.875, 0.166], [0.262, 0.197, 0.866], [0.262, 0.303, 0.366], [0.264, 0.707, 0.847], [0.264, 0.793, 0.347], [0.325, 0.584, 0.384], [0.325, 0.916, 0.884], [0.675, 0.084, 0.116], [0.675, 0.416, 0.616], [0.736, 0.207, 0.653], [0.736, 0.293, 0.153], [0.738, 0.697, 0.634], [0.738, 0.803, 0.134], [0.739, 0.125, 0.834], [0.739, 0.375, 0.334], [0.768, 0.701, 0.432], [0.768, 0.799, 0.932], [0.897, 0.119, 0.110], [0.897, 0.381, 0.610], [0.244, 0.641, 0.442], [0.244, 0.859, 0.942], [0.256, 0.622, 0.795], [0.256, 0.878, 0.295], [0.272, 0.249, 0.472], [0.272, 0.251, 0.972], [0.728, 0.749, 0.028], [0.728, 0.751, 0.528], [0.744, 0.122, 0.705], [0.744, 0.378, 0.205], [0.756, 0.141, 0.058], [0.756, 0.359, 0.558], [0.067, 0.597, 0.057], [0.067, 0.903, 0.557], [0.154, 0.102, 0.202], [0.154, 0.398, 0.702], [0.262, 0.095, 0.716], [0.262, 0.405, 0.216], [0.472, 0.576, 0.108], [0.472, 0.924, 0.608], [0.528, 0.076, 0.392], [0.528, 0.424, 0.892], [0.738, 0.595, 0.784], [0.738, 0.905, 0.284], [0.846, 0.602, 0.298], [0.846, 0.898, 0.798], [0.933, 0.097, 0.443], [0.933, 0.403, 0.943]]}